Computed, not measured: crystalline Ce2CuGe6 at its relaxed geometry at the PBE-GGA level of DFT.

Computed properties:
DFT formation energy	-0.4210	eV per atom
M_tot	1.0	μB per cell
V	185.5	Å³/cell
symmetry	Amm2

abc: 4.178 10.991 10.991
angles: 21.57 90.00 90.00
Fractional positions:
1 Ce 0.000 0.000 0.000
2 Ce 0.000 0.333 0.333
3 Cu 0.500 0.556 0.556
4 Ge 0.000 0.615 0.615
5 Ge 0.000 0.730 0.730
6 Ge 0.500 0.115 0.115
7 Ge 0.500 0.231 0.231
8 Ge 0.500 0.447 0.447
9 Ge 0.500 0.876 0.876